(1)
VCrFe2 PBE optimized geometry; electronic total energy = -8.9469 eV per atom; total magnetization = 3.7 Bohr magnetons per cell; calculated volume = 47 Å³ per cell; ρ = 7.54 g/cm3
1.0
1.4649 -2.0013 0.0000
1.4649 2.0013 0.0000
0.0000 0.0000 8.0612
V Cr Fe
1 1 2
direct
0.0000 0.0000 0.0000
0.5000 0.5000 0.2572
0.0000 0.0000 0.5020
0.5000 0.5000 0.7468

---

(2)
YCr5Fe7 PBE optimized geometry; electronic total energy = -8.7431 eV per atom; total magnetization = 8.8 Bohr magnetons per cell; calculated volume = 163 Å³ per cell; ρ = 7.53 g/cm3
1.0
-2.3687 4.1361 4.1613
2.3687 -4.1361 4.1613
2.3687 4.1361 -4.1613
Y Cr Fe
1 5 7
direct
0.0000 0.0000 0.0000
0.3620 0.9942 0.3679
0.3637 0.3637 0.0000
0.6263 0.9942 0.6321
0.6284 0.6284 0.0000
0.7731 0.2731 0.5000
0.2191 0.7191 0.5000
0.2218 0.4966 0.7252
0.4978 0.4965 0.5026
0.4978 0.9953 0.0013
0.7713 0.4966 0.2748
0.9939 0.4965 0.9987
0.9939 0.9953 0.4974

---

(3)
Y2Cr2Fe15 PBE optimized geometry; electronic total energy = -8.3721 eV per atom; total magnetization = 53.1 Bohr magnetons per cell; calculated volume = 505 Å³ per cell; ρ = 7.36 g/cm3
1.0
8.3859 0.0000 0.0000
-4.1929 7.2624 0.0000
0.0000 0.0000 8.2984
Y Cr Fe
4 4 30
direct
0.0000 0.0000 0.2500
0.0000 0.0000 0.7500
0.3333 0.6667 0.2500
0.6667 0.3333 0.7500
0.3333 0.6667 0.6188
0.3333 0.6667 0.8812
0.6667 0.3333 0.1188
0.6667 0.3333 0.3812
0.0000 0.5000 0.0000
0.0000 0.5000 0.5000
0.0397 0.3697 0.7500
0.0397 0.6700 0.7500
0.1665 0.3330 0.0121
0.1665 0.3330 0.4879
0.1665 0.8335 0.0121
0.1665 0.8335 0.4879
0.3300 0.3697 0.7500
0.3300 0.9603 0.7500
0.3330 0.1665 0.5121
0.3330 0.1665 0.9879
0.3697 0.0397 0.2500
0.3697 0.3300 0.2500
0.5000 0.0000 0.0000
0.5000 0.0000 0.5000
0.5000 0.5000 0.0000
0.5000 0.5000 0.5000
0.6303 0.6700 0.7500
0.6303 0.9603 0.7500
0.6670 0.8335 0.0121
0.6670 0.8335 0.4879
0.6700 0.0397 0.2500
0.6700 0.6303 0.2500
0.8335 0.1665 0.5121
0.8335 0.1665 0.9879
0.8335 0.6670 0.5121
0.8335 0.6670 0.9879
0.9603 0.3300 0.2500
0.9603 0.6303 0.2500